# 1
A plane-wave DFT calculation with PBE was carried out for an optimized crystal structure of Sr8Mn3N9.

## Properties
Total magnetization: 0.42 μB per cell
Energy relative to the elements: -890 meV per atom
Uncorrected energy: -6.53 eV per atom

a b c (Å): 7.6011 10.6925 18.9516
angles (deg): 90.00 106.21 90.00
Sites, in units of the cell vectors:
Sr: 0.0104 0.1204 0.1456
Sr: 0.0104 0.3796 0.6456
Sr: 0.0711 0.6226 0.1439
Sr: 0.0711 0.8774 0.6439
Sr: 0.1909 0.1299 0.5507
Sr: 0.1909 0.3701 0.0507
Sr: 0.2147 0.6204 0.5651
Sr: 0.2147 0.8796 0.0651
Sr: 0.2546 0.6303 0.7701
Sr: 0.2546 0.8697 0.2701
Sr: 0.2775 0.1269 0.7811
Sr: 0.2775 0.3731 0.2811
Sr: 0.4804 0.6257 0.4173
Sr: 0.4804 0.8743 0.9173
Sr: 0.4807 0.1269 0.4230
Sr: 0.4807 0.3731 0.9230
Sr: 0.5193 0.6269 0.0770
Sr: 0.5193 0.8731 0.5770
Sr: 0.5196 0.1257 0.0827
Sr: 0.5196 0.3743 0.5827
Sr: 0.7225 0.6269 0.7189
Sr: 0.7225 0.8731 0.2189
Sr: 0.7454 0.1303 0.7299
Sr: 0.7454 0.3697 0.2299
Sr: 0.7853 0.1204 0.9349
Sr: 0.7853 0.3796 0.4349
Sr: 0.8091 0.6299 0.9493
Sr: 0.8091 0.8701 0.4493
Sr: 0.9289 0.1226 0.3561
Sr: 0.9289 0.3774 0.8561
Sr: 0.9896 0.6204 0.3544
Sr: 0.9896 0.8796 0.8544
Mn: 0.2017 0.1305 0.9367
Mn: 0.2017 0.3695 0.4367
Mn: 0.2037 0.6198 0.9311
Mn: 0.2037 0.8802 0.4311
Mn: 0.4550 0.6283 0.2512
Mn: 0.4550 0.8717 0.7512
Mn: 0.5450 0.1283 0.2488
Mn: 0.5450 0.3717 0.7488
Mn: 0.7963 0.1198 0.5689
Mn: 0.7963 0.3802 0.0689
Mn: 0.7983 0.6305 0.5633
Mn: 0.7983 0.8695 0.0633
N: 0.0084 0.6250 0.8532
N: 0.0084 0.8750 0.3532
N: 0.0256 0.1379 0.8534
N: 0.0256 0.3621 0.3534
N: 0.1512 0.1280 0.0199
N: 0.1512 0.3720 0.5199
N: 0.1693 0.6178 0.0182
N: 0.1693 0.8822 0.5182
N: 0.2565 0.6154 0.2831
N: 0.2565 0.8846 0.7831
N: 0.3444 0.0624 0.1995
N: 0.3444 0.4376 0.6995
N: 0.4180 0.7342 0.1811
N: 0.4180 0.7658 0.6811
N: 0.4241 0.1198 0.9337
N: 0.4241 0.3802 0.4337
N: 0.4264 0.6232 0.9232
N: 0.4264 0.8768 0.4232
N: 0.5736 0.1232 0.5768
N: 0.5736 0.3768 0.0768
N: 0.5759 0.6198 0.5663
N: 0.5759 0.8802 0.0663
N: 0.5820 0.2342 0.3189
N: 0.5820 0.2658 0.8189
N: 0.6556 0.5624 0.3005
N: 0.6556 0.9376 0.8005
N: 0.7435 0.1154 0.2169
N: 0.7435 0.3846 0.7169
N: 0.8307 0.1178 0.4818
N: 0.8307 0.3822 0.9818
N: 0.8488 0.6280 0.4801
N: 0.8488 0.8720 0.9801
N: 0.9744 0.6379 0.6466
N: 0.9744 0.8621 0.1466
N: 0.9916 0.1250 0.6468
N: 0.9916 0.3750 0.1468

---

# 2
A plane-wave DFT calculation with PBE was carried out for an optimized crystal structure of Tb4MgP4O16.

## Properties
Total magnetization: 0.00 μB per cell
Energy above the most stable polymorph in this dataset: 0.087 eV/atom
Energy relative to the elements: -3180 meV per atom
Uncorrected energy: -7.58 eV per atom

a b c (Å): 6.5952 6.6530 7.7655
angles (deg): 86.73 81.71 85.34
Sites, in units of the cell vectors:
Tb: 0.0000 0.0000 0.0000
Tb: 0.1133 0.6836 0.4314
Tb: 0.3502 0.1695 0.6531
Tb: 0.5942 0.4414 0.0119
Mg: 0.7081 0.9368 0.3328
P: 0.1115 0.4797 0.0227
P: 0.4324 0.9449 0.0960
P: 0.5601 0.6455 0.5753
P: 0.8859 0.1628 0.6207
O: 0.0234 0.9591 0.6113
O: 0.0282 0.6737 0.9339
O: 0.0434 0.3271 0.5683
O: 0.2279 0.5143 0.1785
O: 0.2277 0.9376 0.2214
O: 0.2834 0.3644 0.8965
O: 0.3686 0.9712 0.9117
O: 0.4125 0.4928 0.5256
O: 0.4471 0.8566 0.5294
O: 0.5534 0.1219 0.1465
O: 0.5778 0.7546 0.1238
O: 0.5988 0.6144 0.7633
O: 0.7111 0.1616 0.5071
O: 0.7677 0.6473 0.4529
O: 0.7754 0.1857 0.8118
O: 0.9296 0.3437 0.0808

---

# 3
A plane-wave DFT calculation with PBE was carried out for an optimized crystal structure of NaSn2Ge2P5SO24.

## Properties
Total magnetization: 0.00 μB per cell
Energy relative to the elements: -2356 meV per atom
Uncorrected energy: -6.70 eV per atom

a b c (Å): 8.5258 8.5259 22.2083
angles (deg): 89.64 89.83 60.14
Sites, in units of the cell vectors:
Na: 0.0000 0.0000 0.0000
Na: 0.0054 0.9997 0.5100
Na: 0.6714 0.6663 0.6696
Sn: 0.0107 0.0009 0.3649
Sn: 0.0112 0.9982 0.1494
Sn: 0.3403 0.3268 0.1894
Sn: 0.3402 0.3382 0.9775
Sn: 0.6661 0.6715 0.3245
Sn: 0.6788 0.6619 0.0218
Ge: 0.0068 0.9973 0.6516
Ge: 0.3386 0.3319 0.4882
Ge: 0.3388 0.3334 0.6921
Ge: 0.6730 0.6664 0.5276
Ge: 0.6810 0.6553 0.8117
Ge: 0.9958 0.0003 0.8490
P: 0.0105 0.2814 0.7518
P: 0.0502 0.3333 0.0852
P: 0.0538 0.6185 0.5891
P: 0.2925 0.7115 0.7531
P: 0.3011 0.9972 0.2558
P: 0.3388 0.0467 0.5892
P: 0.3413 0.6222 0.0865
P: 0.3888 0.6534 0.4279
P: 0.6256 0.3315 0.5891
P: 0.6310 0.0402 0.0855
P: 0.6623 0.9626 0.4270
P: 0.6844 0.3709 0.9144
P: 0.7140 0.0002 0.7516
P: 0.9564 0.6761 0.9142
P: 0.9654 0.3851 0.4269
S: 0.0049 0.7054 0.2558
S: 0.3780 0.9520 0.9155
S: 0.7128 0.2939 0.2557
O: 0.0294 0.1641 0.0895
O: 0.0304 0.7909 0.3098
O: 0.0346 0.8093 0.5965
O: 0.0452 0.1640 0.8093
O: 0.1251 0.3628 0.1442
O: 0.1348 0.4982 0.6456
O: 0.1406 0.5040 0.9206
O: 0.1509 0.3658 0.4356
O: 0.1671 0.0271 0.5964
O: 0.1690 0.2956 0.0293
O: 0.1688 0.8087 0.0905
O: 0.1704 0.5299 0.2502
O: 0.1717 0.5392 0.5324
O: 0.1730 0.7946 0.8099
O: 0.1785 0.3005 0.7433
O: 0.1809 0.0311 0.3116
O: 0.1967 0.9706 0.9093
O: 0.1989 0.8255 0.4229
O: 0.2124 0.8372 0.6973
O: 0.2198 0.9634 0.1988
O: 0.2995 0.1648 0.5320
O: 0.3027 0.5428 0.0306
O: 0.3113 0.5247 0.7438
O: 0.3171 0.1673 0.2506
O: 0.3627 0.1314 0.9211
O: 0.3711 0.4865 0.4368
O: 0.3705 0.5157 0.1456
O: 0.3773 0.1285 0.6449
O: 0.4479 0.8465 0.9728
O: 0.4779 0.6970 0.4801
O: 0.4830 0.6943 0.7618
O: 0.4863 0.8271 0.2619
O: 0.4909 0.6186 0.3672
O: 0.4957 0.1465 0.4363
O: 0.4959 0.8656 0.8634
O: 0.5052 0.3710 0.6454
O: 0.5077 0.6411 0.0792
O: 0.5097 0.8555 0.5813
O: 0.5161 0.3507 0.9200
O: 0.5271 0.1152 0.1447
O: 0.5286 0.1682 0.7423
O: 0.5314 0.3161 0.2507
O: 0.5456 0.2932 0.5326
O: 0.5508 0.1594 0.0294
O: 0.6287 0.8941 0.3667
O: 0.6447 0.8570 0.0791
O: 0.6459 0.4995 0.8605
O: 0.6462 0.5029 0.5813
O: 0.6945 0.8285 0.7606
O: 0.7034 0.4695 0.2617
O: 0.7057 0.8311 0.4801
O: 0.7230 0.4415 0.9734
O: 0.7914 0.0402 0.8089
O: 0.7939 0.1774 0.3094
O: 0.8165 0.1603 0.5967
O: 0.8194 0.2138 0.2001
O: 0.8196 0.0223 0.0914
O: 0.8355 0.4735 0.4799
O: 0.8359 0.9786 0.4209
O: 0.8381 0.4730 0.7589
O: 0.8429 0.9539 0.6969
O: 0.8441 0.7213 0.9729
O: 0.8455 0.6830 0.2614
O: 0.8562 0.1836 0.9063
O: 0.8623 0.6387 0.5816
O: 0.8626 0.6454 0.8602
O: 0.8660 0.5015 0.0804
O: 0.8942 0.4881 0.3662
O: 0.9648 0.2010 0.6968
O: 0.9698 0.8173 0.2006
O: 0.9793 0.1963 0.4227
O: 0.9796 0.8445 0.9063

---

# 4
A plane-wave DFT calculation with PBE was carried out for an optimized crystal structure of KSrPO4.

## Properties
Energy relative to the elements: -3062 meV per atom
Uncorrected energy: -6.67 eV per atom

a b c (Å): 7.4478 5.6325 9.7631
angles (deg): 90.00 90.00 90.00
Sites, in units of the cell vectors:
K: 0.1586 0.2500 0.0824
K: 0.3414 0.7500 0.5824
K: 0.6586 0.2500 0.4176
K: 0.8414 0.7500 0.9176
Sr: 0.0006 0.2500 0.6962
Sr: 0.4994 0.7500 0.1962
Sr: 0.5006 0.2500 0.8038
Sr: 0.9994 0.7500 0.3038
P: 0.2262 0.2500 0.4162
P: 0.2738 0.7500 0.9162
P: 0.7262 0.2500 0.0838
P: 0.7738 0.7500 0.5838
O: 0.0182 0.2500 0.4268
O: 0.1919 0.7500 0.0640
O: 0.2118 0.5225 0.8380
O: 0.2118 0.9775 0.8380
O: 0.2882 0.0225 0.3380
O: 0.2882 0.4775 0.3380
O: 0.3081 0.2500 0.5640
O: 0.4818 0.7500 0.9268
O: 0.5182 0.2500 0.0732
O: 0.6919 0.7500 0.4360
O: 0.7118 0.5225 0.6620
O: 0.7118 0.9775 0.6620
O: 0.7882 0.0225 0.1620
O: 0.7882 0.4775 0.1620
O: 0.8081 0.2500 0.9360
O: 0.9818 0.7500 0.5732

---

# 5
A plane-wave DFT calculation with PBE was carried out for an optimized crystal structure of HfSiNi.

## Properties
Energy relative to the elements: -893 meV per atom
Uncorrected energy: -7.95 eV per atom

a b c (Å): 6.4272 3.7900 7.2233
angles (deg): 90.00 90.00 90.00
Sites, in units of the cell vectors:
Hf: 0.0169 0.2500 0.1851
Hf: 0.4831 0.7500 0.6851
Hf: 0.5169 0.2500 0.3149
Hf: 0.9831 0.7500 0.8149
Si: 0.2278 0.7500 0.3851
Si: 0.2722 0.2500 0.8851
Si: 0.7278 0.7500 0.1149
Si: 0.7722 0.2500 0.6149
Ni: 0.1400 0.2500 0.5614
Ni: 0.3600 0.7500 0.0614
Ni: 0.6400 0.2500 0.9386
Ni: 0.8600 0.7500 0.4386

---

# 6
A plane-wave DFT calculation with PBE was carried out for an optimized crystal structure of Ba3MgIrRuO9.

## Properties
Total magnetization: 7.99 μB per cell
Energy relative to the elements: -2377 meV per atom
Uncorrected energy: -6.63 eV per atom

a b c (Å): 5.8325 5.8325 14.4470
angles (deg): 90.00 90.00 120.00
Sites, in units of the cell vectors:
Ba: 0.0000 0.0000 0.2494
Ba: 0.0000 0.0000 0.7506
Ba: 0.3333 0.6667 0.0880
Ba: 0.3333 0.6667 0.4112
Ba: 0.6667 0.3333 0.5888
Ba: 0.6667 0.3333 0.9120
Mg: 0.0000 0.0000 0.0000
Mg: 0.0000 0.0000 0.5000
Ir: 0.3333 0.6667 0.8454
Ir: 0.6667 0.3333 0.1546
Ru: 0.3333 0.6667 0.6531
Ru: 0.6667 0.3333 0.3469
O: 0.0342 0.5171 0.7505
O: 0.1696 0.3392 0.9180
O: 0.1703 0.3406 0.5832
O: 0.1703 0.8297 0.5832
O: 0.1696 0.8304 0.9180
O: 0.3392 0.1696 0.0820
O: 0.3406 0.1703 0.4168
O: 0.4829 0.5171 0.7505
O: 0.4829 0.9658 0.7505
O: 0.5171 0.0342 0.2495
O: 0.5171 0.4829 0.2495
O: 0.6594 0.8297 0.5832
O: 0.6608 0.8304 0.9180
O: 0.8304 0.1696 0.0820
O: 0.8297 0.1703 0.4168
O: 0.8297 0.6594 0.4168
O: 0.8304 0.6608 0.0820
O: 0.9658 0.4829 0.2495

---

# 7
A plane-wave DFT calculation with PBE was carried out for an optimized crystal structure of Dy2ZnHg.

## Properties
Total magnetization: 0.02 μB per cell
Energy relative to the elements: -397 meV per atom
Uncorrected energy: -3.09 eV per atom

a b c (Å): 5.1767 5.1767 5.1767
angles (deg): 60.00 60.00 60.00
Sites, in units of the cell vectors:
Dy: 0.2500 0.2500 0.2500
Dy: 0.7500 0.7500 0.7500
Zn: 0.0000 0.0000 0.0000
Hg: 0.5000 0.5000 0.5000

---

# 8
A plane-wave DFT calculation with PBE was carried out for an optimized crystal structure of Ba4Li2Cd3P6.

## Properties
Total magnetization: 0.00 μB per cell
Energy relative to the elements: -773 meV per atom
Uncorrected energy: -3.89 eV per atom

a b c (Å): 10.2856 10.2856 16.9674
angles (deg): 90.00 90.00 154.63
Sites, in units of the cell vectors:
Ba: 0.0162 0.9838 0.6223
Ba: 0.0162 0.9838 0.8777
Ba: 0.1716 0.8284 0.0684
Ba: 0.1716 0.8284 0.4316
Ba: 0.8284 0.1716 0.5684
Ba: 0.8284 0.1716 0.9316
Ba: 0.9838 0.0162 0.1223
Ba: 0.9838 0.0162 0.3777
Li: 0.1508 0.8492 0.7500
Li: 0.4370 0.5630 0.7500
Li: 0.5630 0.4370 0.2500
Li: 0.8492 0.1508 0.2500
Cd: 0.2961 0.7039 0.7500
Cd: 0.3495 0.6505 0.1257
Cd: 0.3495 0.6505 0.3743
Cd: 0.6505 0.3495 0.6257
Cd: 0.6505 0.3495 0.8743
Cd: 0.7039 0.2961 0.2500
P: 0.1203 0.8797 0.2500
P: 0.2195 0.7805 0.6185
P: 0.2195 0.7805 0.8815
P: 0.4303 0.5697 0.2500
P: 0.4442 0.5558 0.5112
P: 0.4442 0.5558 0.9888
P: 0.5558 0.4442 0.0112
P: 0.5558 0.4442 0.4888
P: 0.5697 0.4303 0.7500
P: 0.7805 0.2195 0.1185
P: 0.7805 0.2195 0.3815
P: 0.8797 0.1203 0.7500

---

# 9
A plane-wave DFT calculation with PBE was carried out for an optimized crystal structure of PuOF.

## Properties
Energy relative to the elements: -3750 meV per atom
Uncorrected energy: -10.41 eV per atom

a b c (Å): 3.9669 3.9669 5.7344
angles (deg): 90.00 90.00 90.00
Sites, in units of the cell vectors:
Pu: 0.2500 0.2500 0.2106
Pu: 0.7500 0.7500 0.7894
O: 0.2500 0.7500 0.0000
O: 0.7500 0.2500 0.0000
F: 0.2500 0.7500 0.5000
F: 0.7500 0.2500 0.5000

---

# 10
A plane-wave DFT calculation with PBE was carried out for an optimized crystal structure of LaF3.

## Properties
Total magnetization: 0.00 μB per cell
Energy relative to the elements: -4370 meV per atom
Uncorrected energy: -6.69 eV per atom

a b c (Å): 4.1987 5.3325 4.6639
angles (deg): 90.00 90.00 90.00
Sites, in units of the cell vectors:
La: 0.2500 0.2500 0.2245
La: 0.7500 0.7500 0.7755
F: 0.2500 0.0015 0.6717
F: 0.2500 0.4985 0.6717
F: 0.2500 0.7500 0.1121
F: 0.7500 0.2500 0.8879
F: 0.7500 0.5015 0.3283
F: 0.7500 0.9985 0.3283

---

# 11
A plane-wave DFT calculation with PBE was carried out for an optimized crystal structure of NaMg6Mn.

## Properties
Total magnetization: 7.85 μB per cell
Energy relative to the elements: 179 meV per atom
Uncorrected energy: -2.33 eV per atom

a b c (Å): 5.1352 6.3605 11.0329
angles (deg): 90.00 90.00 90.00
Sites, in units of the cell vectors:
Na: 0.5000 0.5000 0.1682
Na: 0.5000 0.0000 0.6682
Mg: 0.0000 0.7524 0.0819
Mg: 0.0000 0.2476 0.0819
Mg: 0.0000 0.0000 0.3341
Mg: 0.5000 0.2586 0.4135
Mg: 0.5000 0.7414 0.4135
Mg: 0.5000 0.0000 0.1662
Mg: 0.0000 0.2524 0.5819
Mg: 0.0000 0.7476 0.5819
Mg: 0.0000 0.5000 0.8341
Mg: 0.5000 0.7586 0.9135
Mg: 0.5000 0.2414 0.9135
Mg: 0.5000 0.5000 0.6662
Mn: 0.0000 0.5000 0.3408
Mn: 0.0000 0.0000 0.8408

---

# 12
A plane-wave DFT calculation with PBE was carried out for an optimized crystal structure of Sc2O3.

## Properties
Energy relative to the elements: -3882 meV per atom
Uncorrected energy: -8.97 eV per atom

a b c (Å): 5.8581 5.8581 5.8581
angles (deg): 55.24 55.24 55.24
Sites, in units of the cell vectors:
Sc: 0.0000 0.0000 0.0000
Sc: 0.2003 0.2003 0.2003
Sc: 0.5000 0.5000 0.5000
Sc: 0.7997 0.7997 0.7997
O: 0.1104 0.7869 0.3849
O: 0.2131 0.6151 0.8896
O: 0.3849 0.1104 0.7869
O: 0.6151 0.8896 0.2131
O: 0.7869 0.3849 0.1104
O: 0.8896 0.2131 0.6151